No. 1
Material: Ba3V4CoO14
Method: DFT, PBE with a Hubbard U
State: optimized geometry

Cell lengths 7.295, 14.190, 14.257 Å; angles 90.00, 108.90, 90.00 degrees
Positions (direct):
Ba1 0.060 0.231 0.297
Ba2 0.060 0.269 0.797
Ba3 0.270 0.606 0.015
Ba4 0.270 0.894 0.515
Ba5 0.390 0.555 0.717
Ba6 0.390 0.945 0.217
Ba7 0.610 0.055 0.783
Ba8 0.610 0.445 0.283
Ba9 0.730 0.106 0.485
Ba10 0.730 0.394 0.985
Ba11 0.940 0.731 0.203
Ba12 0.940 0.769 0.703
V1 0.101 0.027 0.761
V2 0.101 0.473 0.261
V3 0.111 0.611 0.451
V4 0.111 0.889 0.951
V5 0.305 0.170 0.551
V6 0.305 0.330 0.051
V7 0.486 0.187 0.232
V8 0.486 0.313 0.732
V9 0.514 0.687 0.268
V10 0.514 0.813 0.768
V11 0.695 0.670 0.949
V12 0.695 0.830 0.449
V13 0.889 0.111 0.049
V14 0.889 0.389 0.549
V15 0.899 0.527 0.739
V16 0.899 0.973 0.239
Co1 0.380 0.098 0.994
Co2 0.380 0.402 0.494
Co3 0.620 0.598 0.506
Co4 0.620 0.902 0.006
O1 0.004 0.059 0.174
O2 0.004 0.441 0.674
O3 0.042 0.109 0.980
O4 0.042 0.391 0.480
O5 0.086 0.132 0.477
O6 0.086 0.368 0.977
O7 0.091 0.599 0.799
O8 0.091 0.901 0.299
O9 0.149 0.723 0.425
O10 0.149 0.777 0.925
O11 0.196 0.524 0.180
O12 0.196 0.976 0.680
O13 0.278 0.097 0.843
O14 0.278 0.403 0.343
O15 0.304 0.743 0.200
O16 0.304 0.757 0.700
O17 0.310 0.222 0.672
O18 0.310 0.278 0.172
O19 0.338 0.555 0.513
O20 0.338 0.945 0.013
O21 0.386 0.248 0.985
O22 0.386 0.252 0.485
O23 0.399 0.124 0.311
O24 0.399 0.376 0.811
O25 0.462 0.076 0.578
O26 0.462 0.424 0.078
O27 0.499 0.108 0.142
O28 0.499 0.392 0.642
O29 0.501 0.608 0.358
O30 0.501 0.892 0.858
O31 0.538 0.576 0.922
O32 0.538 0.924 0.422
O33 0.601 0.624 0.189
O34 0.601 0.876 0.689
O35 0.614 0.748 0.515
O36 0.614 0.752 0.015
O37 0.662 0.055 0.987
O38 0.662 0.445 0.487
O39 0.690 0.722 0.828
O40 0.690 0.778 0.328
O41 0.696 0.243 0.300
O42 0.696 0.257 0.800
O43 0.722 0.597 0.657
O44 0.722 0.903 0.157
O45 0.804 0.024 0.320
O46 0.804 0.476 0.820
O47 0.851 0.223 0.075
O48 0.851 0.277 0.575
O49 0.909 0.099 0.701
O50 0.909 0.401 0.201
O51 0.914 0.632 0.023
O52 0.914 0.868 0.523
O53 0.958 0.609 0.520
O54 0.958 0.891 0.020
O55 0.996 0.559 0.326
O56 0.996 0.941 0.826

Output
Theoretical density ... 4275 kg/m3
Formation energy ... -250.69 kJ/mol of atoms
SG ... No. 14


No. 2
Material: Ba3Co2WO9
Method: DFT, PBE with a Hubbard U
State: optimized geometry

Cell lengths 5.873, 5.873, 14.271 Å; angles 90.00, 90.00, 120.00 degrees
Positions (direct):
Ba1 0.000 0.000 0.000
Ba2 0.000 0.000 0.500
Ba3 0.333 0.667 0.162
Ba4 0.333 0.667 0.855
Ba5 0.667 0.333 0.355
Ba6 0.667 0.333 0.662
Co1 0.000 0.000 0.254
Co2 0.000 0.000 0.754
Co3 0.333 0.667 0.392
Co4 0.667 0.333 0.892
W1 0.333 0.667 0.594
W2 0.667 0.333 0.094
O1 0.027 0.513 0.508
O2 0.170 0.339 0.337
O3 0.170 0.830 0.337
O4 0.174 0.349 0.669
O5 0.174 0.826 0.669
O6 0.339 0.170 0.837
O7 0.349 0.174 0.169
O8 0.487 0.513 0.508
O9 0.487 0.973 0.508
O10 0.513 0.027 0.008
O11 0.513 0.487 0.008
O12 0.651 0.826 0.669
O13 0.661 0.830 0.337
O14 0.826 0.174 0.169
O15 0.826 0.651 0.169
O16 0.830 0.170 0.837
O17 0.830 0.661 0.837
O18 0.973 0.487 0.008

Output
Theoretical density ... 6682 kg/m3
Formation energy ... -222.93 kJ/mol of atoms
SG ... No. 186


No. 3
Material: Ba3Y5Co3O15
Method: DFT, PBE with a Hubbard U
State: optimized geometry

Cell lengths 7.150, 12.020, 18.608 Å; angles 90.00, 112.58, 90.00 degrees
Positions (direct):
Ba1 0.006 0.108 0.419
Ba2 0.006 0.392 0.919
Ba3 0.327 0.103 0.747
Ba4 0.327 0.397 0.247
Ba5 0.374 0.607 0.417
Ba6 0.374 0.893 0.917
Ba7 0.626 0.107 0.083
Ba8 0.626 0.393 0.583
Ba9 0.673 0.603 0.753
Ba10 0.673 0.897 0.253
Ba11 0.994 0.608 0.081
Ba12 0.994 0.892 0.581
Y1 0.132 0.706 0.750
Y2 0.132 0.794 0.250
Y3 0.143 0.076 0.246
Y4 0.143 0.424 0.746
Y5 0.188 0.564 0.579
Y6 0.188 0.936 0.079
Y7 0.461 0.705 0.084
Y8 0.461 0.795 0.584
Y9 0.482 0.087 0.582
Y10 0.482 0.413 0.082
Y11 0.518 0.587 0.918
Y12 0.518 0.913 0.418
Y13 0.539 0.205 0.416
Y14 0.539 0.295 0.916
Y15 0.812 0.064 0.921
Y16 0.812 0.436 0.421
Y17 0.857 0.576 0.254
Y18 0.857 0.924 0.754
Y19 0.868 0.206 0.750
Y20 0.868 0.294 0.250
Co1 0.072 0.667 0.918
Co2 0.072 0.833 0.418
Co3 0.218 0.153 0.917
Co4 0.218 0.347 0.417
Co5 0.450 0.654 0.251
Co6 0.450 0.846 0.751
Co7 0.550 0.154 0.249
Co8 0.550 0.346 0.749
Co9 0.782 0.653 0.583
Co10 0.782 0.847 0.083
Co11 0.928 0.167 0.582
Co12 0.928 0.333 0.082
O1 0.002 0.226 0.167
O2 0.002 0.274 0.667
O3 0.010 0.068 0.840
O4 0.010 0.432 0.340
O5 0.146 0.094 0.583
O6 0.146 0.406 0.083
O7 0.164 0.725 0.502
O8 0.164 0.775 0.002
O9 0.172 0.564 0.837
O10 0.172 0.936 0.337
O11 0.173 0.058 0.988
O12 0.173 0.442 0.488
O13 0.177 0.600 0.247
O14 0.177 0.900 0.747
O15 0.193 0.232 0.336
O16 0.193 0.268 0.836
O17 0.316 0.733 0.671
O18 0.316 0.767 0.171
O19 0.327 0.564 0.997
O20 0.327 0.936 0.497
O21 0.357 0.229 0.492
O22 0.357 0.271 0.992
O23 0.361 0.057 0.178
O24 0.361 0.443 0.678
O25 0.461 0.729 0.826
O26 0.461 0.771 0.326
O27 0.481 0.102 0.913
O28 0.481 0.398 0.413
O29 0.499 0.566 0.173
O30 0.499 0.934 0.673
O31 0.501 0.066 0.327
O32 0.501 0.434 0.827
O33 0.519 0.602 0.587
O34 0.519 0.898 0.087
O35 0.539 0.229 0.674
O36 0.539 0.271 0.174
O37 0.639 0.557 0.322
O38 0.639 0.943 0.822
O39 0.643 0.729 0.008
O40 0.643 0.771 0.508
O41 0.673 0.064 0.503
O42 0.673 0.436 0.003
O43 0.684 0.233 0.829
O44 0.684 0.267 0.329
O45 0.807 0.732 0.164
O46 0.807 0.768 0.664
O47 0.823 0.100 0.253
O48 0.823 0.400 0.753
O49 0.827 0.558 0.512
O50 0.827 0.942 0.012
O51 0.828 0.064 0.663
O52 0.828 0.436 0.163
O53 0.836 0.225 0.998
O54 0.836 0.275 0.498
O55 0.854 0.594 0.917
O56 0.854 0.906 0.417
O57 0.990 0.568 0.660
O58 0.990 0.932 0.160
O59 0.998 0.726 0.333
O60 0.998 0.774 0.833

Output
Theoretical density ... 5728 kg/m3
Formation energy ... -275.64 kJ/mol of atoms
SG ... No. 14


No. 4
Material: Ba2YCoO5
Method: DFT, PBE with a Hubbard U
State: optimized geometry

Cell lengths 7.976, 6.180, 14.665 Å; angles 90.00, 121.31, 90.00 degrees
Positions (direct):
Ba1 0.109 0.248 0.116
Ba2 0.109 0.252 0.616
Ba3 0.368 0.742 0.360
Ba4 0.368 0.758 0.860
Ba5 0.632 0.242 0.140
Ba6 0.632 0.258 0.640
Ba7 0.891 0.748 0.384
Ba8 0.891 0.752 0.884
Y1 0.136 0.249 0.372
Y2 0.136 0.251 0.872
Y3 0.864 0.749 0.128
Y4 0.864 0.751 0.628
Co1 0.346 0.741 0.093
Co2 0.346 0.759 0.593
Co3 0.654 0.241 0.407
Co4 0.654 0.259 0.907
O1 0.024 0.540 0.770
O2 0.024 0.960 0.270
O3 0.161 0.747 0.633
O4 0.161 0.753 0.133
O5 0.261 0.529 0.490
O6 0.261 0.971 0.990
O7 0.285 0.029 0.518
O8 0.285 0.471 0.018
O9 0.385 0.239 0.828
O10 0.385 0.261 0.328
O11 0.615 0.739 0.672
O12 0.615 0.761 0.172
O13 0.715 0.529 0.982
O14 0.715 0.971 0.482
O15 0.739 0.029 0.010
O16 0.739 0.471 0.510
O17 0.839 0.247 0.867
O18 0.839 0.253 0.367
O19 0.976 0.040 0.730
O20 0.976 0.460 0.230

Output
Theoretical density ... 5405 kg/m3
Formation energy ... -271.72 kJ/mol of atoms
SG ... No. 14


No. 5
Material: BaY2CoO5
Method: DFT, PBE with a Hubbard U
State: optimized geometry

Cell lengths 12.391, 5.770, 7.159 Å; angles 90.00, 90.00, 90.00 degrees
Positions (direct):
Ba1 0.100 0.250 0.079
Ba2 0.400 0.750 0.579
Ba3 0.600 0.250 0.421
Ba4 0.900 0.750 0.921
Y1 0.075 0.750 0.401
Y2 0.208 0.250 0.619
Y3 0.292 0.750 0.119
Y4 0.425 0.250 0.901
Y5 0.575 0.750 0.099
Y6 0.708 0.250 0.881
Y7 0.792 0.750 0.381
Y8 0.925 0.250 0.599
Co1 0.152 0.750 0.808
Co2 0.348 0.250 0.308
Co3 0.652 0.750 0.692
Co4 0.848 0.250 0.192
O1 0.066 0.505 0.667
O2 0.066 0.995 0.667
O3 0.102 0.750 0.075
O4 0.225 0.002 0.359
O5 0.225 0.498 0.359
O6 0.275 0.502 0.859
O7 0.275 0.998 0.859
O8 0.398 0.250 0.575
O9 0.434 0.005 0.167
O10 0.434 0.495 0.167
O11 0.566 0.505 0.833
O12 0.566 0.995 0.833
O13 0.602 0.750 0.425
O14 0.725 0.002 0.141
O15 0.725 0.498 0.141
O16 0.775 0.502 0.641
O17 0.775 0.998 0.641
O18 0.898 0.250 0.925
O19 0.934 0.005 0.333
O20 0.934 0.495 0.333

Output
Theoretical density ... 5893 kg/m3
Formation energy ... -296.56 kJ/mol of atoms
SG ... No. 62


No. 6
Material: Ba2YCo3O8
Method: DFT, PBE with a Hubbard U
State: optimized geometry

Cell lengths 3.914, 3.914, 12.100 Å; angles 90.00, 90.00, 90.00 degrees
Positions (direct):
Ba1 0.000 0.000 0.168
Ba2 0.000 0.000 0.832
Y1 0.000 0.000 0.500
Co1 0.500 0.500 0.000
Co2 0.500 0.500 0.339
Co3 0.500 0.500 0.661
O1 0.000 0.500 0.000
O2 0.000 0.500 0.382
O3 0.000 0.500 0.618
O4 0.500 0.000 0.000
O5 0.500 0.000 0.382
O6 0.500 0.000 0.618
O7 0.500 0.500 0.192
O8 0.500 0.500 0.808

Output
Theoretical density ... 5987 kg/m3
Formation energy ... -216.03 kJ/mol of atoms
SG ... No. 123


No. 7
Material: Ba6Y2Co4O15
Method: DFT, PBE with a Hubbard U
State: optimized geometry

Cell lengths 8.084, 6.061, 18.513 Å; angles 90.00, 90.81, 90.00 degrees
Positions (direct):
Ba1 0.000 0.174 0.250
Ba2 0.000 0.826 0.750
Ba3 0.003 0.250 0.578
Ba4 0.003 0.750 0.078
Ba5 0.480 0.249 0.912
Ba6 0.480 0.751 0.412
Ba7 0.500 0.216 0.250
Ba8 0.500 0.784 0.750
Ba9 0.520 0.249 0.588
Ba10 0.520 0.751 0.088
Ba11 0.997 0.250 0.922
Ba12 0.997 0.750 0.422
Y1 0.254 0.249 0.089
Y2 0.254 0.751 0.589
Y3 0.746 0.249 0.411
Y4 0.746 0.751 0.911
Co1 0.253 0.248 0.437
Co2 0.253 0.752 0.937
Co3 0.269 0.273 0.736
Co4 0.269 0.727 0.236
Co5 0.731 0.273 0.764
Co6 0.731 0.727 0.264
Co7 0.747 0.248 0.063
Co8 0.747 0.752 0.563
O1 0.033 0.254 0.410
O2 0.033 0.746 0.910
O3 0.198 0.149 0.819
O4 0.198 0.851 0.319
O5 0.220 0.466 0.190
O6 0.220 0.534 0.690
O7 0.250 0.042 0.665
O8 0.250 0.958 0.165
O9 0.264 0.009 0.998
O10 0.264 0.487 0.506
O11 0.264 0.513 0.006
O12 0.264 0.991 0.498
O13 0.458 0.267 0.394
O14 0.458 0.733 0.894
O15 0.500 0.307 0.750
O16 0.500 0.693 0.250
O17 0.542 0.267 0.106
O18 0.542 0.733 0.606
O19 0.736 0.009 0.502
O20 0.736 0.487 0.994
O21 0.736 0.513 0.494
O22 0.736 0.991 0.002
O23 0.750 0.042 0.835
O24 0.750 0.958 0.335
O25 0.780 0.466 0.310
O26 0.780 0.534 0.810
O27 0.802 0.149 0.681
O28 0.802 0.851 0.181
O29 0.967 0.254 0.090
O30 0.967 0.746 0.590

Output
Theoretical density ... 5410 kg/m3
Formation energy ... -250.11 kJ/mol of atoms
SG ... No. 13